1.
Li8MnFe7B8O24: optimized geometry, PBE with a Hubbard U.

Cell and atoms, written as POSCAR:
```
Li8MnFe7B8O24
1.0
3.506 -3.842 -0.365
5.082 5.130 -5.474
0.963 3.209 10.965
B Fe Mn O Li
8 7 1 24 8
Cartesian
4.055 0.404 8.756 B
3.939 4.639 0.359 B
4.847 4.889 6.200 B
6.404 4.381 2.231 B
5.488 4.082 -3.597 B
3.130 0.128 2.919 B
5.617 -0.105 4.802 B
4.699 -0.403 -1.049 B
7.346 1.671 2.990 Fe
6.583 6.641 4.431 Fe
3.867 2.359 -1.733 Fe
6.576 3.583 -0.671 Fe
3.048 1.021 5.897 Fe
3.079 -2.129 0.825 Fe
5.780 2.150 6.985 Fe
2.251 2.970 2.252 Mn
3.987 4.811 7.293 O
1.461 3.228 8.865 O
4.009 1.498 7.888 O
3.641 0.499 -0.989 O
5.648 -0.278 -2.064 O
5.583 3.059 -2.658 O
2.226 0.218 3.977 O
4.790 -1.436 -0.116 O
4.797 5.977 5.326 O
4.619 3.449 0.092 O
7.931 1.139 -3.907 O
8.274 5.450 4.371 O
7.396 4.361 1.246 O
4.980 1.082 5.145 O
5.773 5.569 2.584 O
6.542 0.882 1.050 O
1.732 2.538 5.765 O
1.349 -0.928 0.852 O
3.112 3.720 4.190 O
3.795 -1.079 2.666 O
5.761 3.869 5.949 O
7.658 1.896 -0.827 O
3.377 1.215 2.096 O
6.029 3.184 2.840 O
5.004 2.078 1.420 Li
0.706 1.420 4.342 Li
7.663 3.906 5.464 Li
3.369 3.270 8.382 Li
4.915 2.892 4.370 Li
6.638 1.398 -2.524 Li
2.351 0.745 0.402 Li
4.115 -1.597 6.921 Li
```

Results
total magnetic moment: 33.000 μB per formula unit
calculated volume: 10.19 Å³/atom
calculated total energy: -334.95 eV for the cell shown
energy relative to the elements: -112.99 eV/f.u.

---

2.
Li2MnFeB2O6: optimized geometry, PBE with a Hubbard U.

Cell and atoms, written as POSCAR:
```
Li2MnFeB2O6
1.0
-2.408 -4.671 -0.185
-5.044 2.413 5.999
-4.576 2.381 -3.027
Li B O Mn Fe
4 4 12 2 2
Cartesian
-5.269 -2.305 -0.195 Li
-6.759 2.428 2.983 Li
-8.840 2.383 1.379 Li
-3.188 -2.261 1.409 Li
-7.644 -0.136 1.396 B
-10.363 0.284 2.746 B
-4.385 0.259 1.392 B
-1.665 -0.161 0.042 B
-4.841 -1.698 -2.016 O
-4.373 1.145 0.308 O
-8.142 -0.565 0.162 O
-7.187 1.821 4.805 O
-4.822 -1.039 1.234 O
-7.656 -1.022 2.480 O
-6.254 1.337 -1.893 O
-5.775 -1.213 4.681 O
-3.887 0.688 2.626 O
-3.631 -3.534 0.026 O
-8.397 3.657 2.762 O
-7.207 1.162 1.554 O
-7.706 -0.170 4.423 Mn
-4.322 0.291 -1.636 Mn
-6.267 2.204 0.020 Fe
-5.761 -2.080 2.765 Fe
```

Results
total magnetic moment: 0.000 μB per formula unit
calculated volume: 10.49 Å³/atom
calculated total energy: -170.94 eV for the cell shown
energy relative to the elements: -29.02 eV/f.u.

---

3.
Li8MnFe7B8O24: optimized geometry, PBE with a Hubbard U.

Cell and atoms, written as POSCAR:
```
Li8MnFe7B8O24
1.0
-0.856 5.152 -0.263
-4.487 -0.330 7.858
8.736 1.835 5.321
O B Fe Li Mn
24 8 7 8 1
Cartesian
-2.011 1.671 6.359 O
-0.205 4.424 2.305 O
-0.805 2.195 3.002 O
7.251 5.335 4.955 O
4.014 4.403 9.713 O
5.429 2.596 9.000 O
-1.932 4.086 3.975 O
-0.431 1.477 9.070 O
3.942 5.205 3.974 O
2.147 2.454 8.057 O
-3.739 1.357 8.029 O
5.508 4.948 6.601 O
0.835 4.848 9.861 O
2.369 1.722 2.918 O
-0.299 4.172 6.716 O
3.708 2.212 10.672 O
6.680 1.986 5.908 O
1.365 4.217 4.970 O
5.406 3.320 3.536 O
2.745 5.727 7.317 O
0.765 0.967 5.578 O
-3.468 4.603 6.821 O
-1.896 3.379 9.427 O
3.490 2.446 6.061 O
4.898 4.565 3.178 B
-0.975 3.571 3.096 B
0.327 4.831 5.673 B
6.193 5.821 5.740 B
-2.783 0.827 7.160 B
4.387 3.076 9.799 B
3.096 1.828 7.238 B
-1.478 2.081 9.770 B
0.580 3.752 0.533 Fe
3.438 4.453 5.873 Fe
2.972 3.046 12.443 Fe
-1.232 1.010 4.566 Fe
4.779 5.780 8.393 Fe
1.894 4.896 3.151 Fe
1.606 1.698 9.949 Fe
0.574 1.198 2.112 Li
4.918 1.953 4.881 Li
1.874 2.299 4.720 Li
3.589 5.713 11.135 Li
2.256 4.368 8.681 Li
6.251 3.303 7.312 Li
-0.801 4.723 8.539 Li
-2.111 3.608 5.912 Li
0.095 2.176 7.184 Mn
```

Results
total magnetic moment: 33.000 μB per formula unit
calculated volume: 10.25 Å³/atom
calculated total energy: -334.93 eV for the cell shown
energy relative to the elements: -112.97 eV/f.u.